(1)
Computed, not measured: a relaxed structure of Na3Ca2Ta3Ti2O15 at the GGA-PBE level of DFT.

Values from the calculation:
The value obtained for the formation energy is -3.253 eV per atom. The symmetry is P1 (1). Its density is 5.74 g/cm³. For the calculated total energy, the calculation gives -818.3 eV for the cell shown.

a = 5.4888 Å, b = 5.5691 Å, c = 38.9347 Å
α = 89.96°, β = 89.94°, γ = 89.91°
Fractional coordinates of all 100 atoms:
Na 0.0094 0.0162 0.8495
Na 0.0099 0.0204 0.6499
Na 0.0060 0.0254 0.4503
Na 0.0120 0.0201 0.2488
Na 0.0124 0.0370 0.0480
Na 0.4946 0.5122 0.6498
Na 0.4993 0.5094 0.8488
Na 0.4800 0.5221 0.4489
Na 0.4917 0.5183 0.2484
Na 0.4968 0.5317 0.0488
Na 0.5002 0.4756 0.3535
Na 0.5098 0.4753 0.1527
Ca 0.5175 0.4607 0.9491
Ca 0.5091 0.4616 0.7495
Ca 0.5105 0.4615 0.5502
Ca 0.9946 0.9471 0.9493
Ca 0.9886 0.9462 0.7497
Ca 0.9901 0.9464 0.5504
Ca 0.9819 0.9541 0.3536
Ca 0.9908 0.9565 0.1526
Ta 0.4988 0.9923 0.8990
Ta 0.4952 0.9931 0.6993
Ta 0.4966 0.9918 0.4994
Ta 0.4973 0.0043 0.1000
Ta 0.4956 0.9980 0.2999
Ta 0.5030 0.9943 0.0007
Ta 0.4958 0.9906 0.8005
Ta 0.4961 0.9914 0.6009
Ta 0.4863 0.0021 0.4008
Ta 0.4999 0.9949 0.2007
Ta 0.0001 0.4942 0.3011
Ta 0.0001 0.5005 0.0992
Ti 0.0141 0.4889 0.9984
Ti 0.0063 0.4857 0.8962
Ti 0.0060 0.4850 0.6009
Ti 0.0049 0.4849 0.5000
Ti 0.0030 0.4874 0.2016
Ti 0.0075 0.4842 0.7990
Ti 0.0017 0.4866 0.6977
Ti 0.9835 0.4954 0.4036
O 0.0840 0.5199 0.9501
O 0.0791 0.5208 0.7504
O 0.0798 0.5198 0.5509
O 0.0700 0.5203 0.3503
O 0.0723 0.5200 0.1491
O 0.2130 0.7888 0.6066
O 0.2147 0.7797 0.4071
O 0.2201 0.7816 0.2057
O 0.2100 0.7914 0.8055
O 0.2137 0.7905 0.8936
O 0.2114 0.7901 0.6938
O 0.2104 0.7914 0.4949
O 0.2178 0.7833 0.2932
O 0.2130 0.7982 0.0049
O 0.2160 0.7926 0.0927
O 0.2901 0.2909 0.8926
O 0.2859 0.2896 0.8057
O 0.2853 0.2910 0.6936
O 0.2839 0.2888 0.6070
O 0.2684 0.2781 0.4081
O 0.2863 0.2928 0.4945
O 0.2883 0.2880 0.0912
O 0.2940 0.2946 0.0058
O 0.2834 0.2818 0.2925
O 0.2736 0.2782 0.2072
O 0.4222 0.0276 0.9492
O 0.4157 0.0240 0.7497
O 0.4148 0.0132 0.3503
O 0.4156 0.0255 0.5507
O 0.4205 0.0204 0.1494
O 0.5787 0.9924 0.6500
O 0.5779 0.9890 0.8494
O 0.5731 0.9900 0.4510
O 0.5746 0.9887 0.2507
O 0.5784 0.9872 0.0496
O 0.7160 0.7244 0.9891
O 0.7200 0.7237 0.9087
O 0.7167 0.7252 0.7095
O 0.7140 0.7235 0.7897
O 0.7243 0.7318 0.3931
O 0.7172 0.7250 0.5908
O 0.7161 0.7257 0.5110
O 0.7226 0.7262 0.3092
O 0.7290 0.7344 0.1916
O 0.7223 0.7288 0.1081
O 0.7852 0.2229 0.9085
O 0.7886 0.2216 0.9900
O 0.7790 0.2234 0.7900
O 0.7795 0.2251 0.7095
O 0.7813 0.2230 0.5105
O 0.7850 0.2138 0.3096
O 0.7793 0.2252 0.5908
O 0.7744 0.2246 0.3925
O 0.7887 0.2167 0.1082
O 0.7793 0.2260 0.1918
O 0.9341 0.4864 0.8495
O 0.9305 0.4868 0.6503
O 0.9237 0.4878 0.4517
O 0.9276 0.4907 0.2501
O 0.9325 0.4936 0.0490

=====

(2)
Computed, not measured: a relaxed structure of Na9CaTa9TiO30 at the GGA-PBE level of DFT.

Values from the calculation:
The value obtained for the formation energy is -3.023 eV per atom. The symmetry is Pm (6). Its density is 6.23 g/cm³. For the calculated total energy, the calculation gives -815.0 eV for the cell shown.

a = 38.5842 Å, b = 5.7489 Å, c = 5.7747 Å
α = 88.47°, β = 90.00°, γ = 90.00°
Fractional coordinates of all 100 atoms:
Na 0.1022 0.0304 0.9562
Na 0.2981 0.9709 0.9692
Na 0.5000 0.0025 0.9617
Na 0.7019 0.9709 0.9692
Na 0.8978 0.0304 0.9562
Na 0.3001 0.4751 0.4788
Na 0.1073 0.3708 0.5719
Na 0.5000 0.4995 0.4603
Na 0.6999 0.4751 0.4788
Na 0.8927 0.3708 0.5719
Na 0.2026 0.4067 0.5790
Na 0.6006 0.4924 0.4587
Na 0.3994 0.4924 0.4587
Na 0.7974 0.4067 0.5790
Na 0.1978 0.9504 0.9320
Na 0.3996 0.9980 0.9607
Na 0.6004 0.9980 0.9607
Na 0.8022 0.9504 0.9320
Ca 0.0000 0.3256 0.4543
Ca 0.0000 0.9677 0.0411
Ta 0.1468 0.8853 0.4132
Ta 0.4499 0.9998 0.4750
Ta 0.6510 0.9895 0.4791
Ta 0.7515 0.9538 0.4994
Ta 0.8532 0.8853 0.4132
Ta 0.0518 0.5049 0.0348
Ta 0.9482 0.5049 0.0348
Ta 0.2483 0.4532 0.0210
Ta 0.1497 0.4477 0.0714
Ta 0.4499 0.5000 0.9748
Ta 0.5501 0.5000 0.9748
Ta 0.8503 0.4477 0.0714
Ta 0.3501 0.4950 0.9773
Ta 0.6499 0.4950 0.9773
Ta 0.7517 0.4532 0.0210
Ta 0.2485 0.9538 0.4994
Ta 0.5501 0.9998 0.4750
Ta 0.3490 0.9895 0.4791
Ti 0.0496 0.7908 0.5833
Ti 0.9504 0.7908 0.5833
O 0.0000 0.9048 0.5384
O 0.1954 0.9603 0.5013
O 0.3998 0.9514 0.5268
O 0.6002 0.9514 0.5268
O 0.8046 0.9603 0.5013
O 0.1027 0.8934 0.5756
O 0.3450 0.7633 0.7729
O 0.5441 0.7583 0.7612
O 0.0517 0.8582 0.8886
O 0.2507 0.7132 0.7399
O 0.7493 0.7132 0.7399
O 0.9483 0.8582 0.8886
O 0.6550 0.7633 0.7729
O 0.4559 0.7583 0.7612
O 0.8973 0.8934 0.5756
O 0.0631 0.6710 0.3034
O 0.1436 0.8005 0.0849
O 0.2547 0.7605 0.2478
O 0.3446 0.7443 0.2708
O 0.5447 0.7602 0.2594
O 0.8564 0.8005 0.0849
O 0.6554 0.7443 0.2708
O 0.7453 0.7605 0.2478
O 0.4553 0.7602 0.2594
O 0.9369 0.6710 0.3034
O 0.0000 0.5782 0.0892
O 0.1995 0.5384 0.0337
O 0.6001 0.5594 0.0223
O 0.3999 0.5594 0.0223
O 0.8005 0.5384 0.0337
O 0.2994 0.4587 0.0198
O 0.1000 0.4564 0.9601
O 0.5000 0.4504 0.0279
O 0.7006 0.4587 0.0198
O 0.9000 0.4564 0.9601
O 0.9584 0.4774 0.6876
O 0.0416 0.4774 0.6876
O 0.2444 0.2079 0.8088
O 0.1571 0.2537 0.8267
O 0.5553 0.2644 0.7554
O 0.3545 0.2715 0.7446
O 0.4447 0.2644 0.7554
O 0.6455 0.2715 0.7446
O 0.7556 0.2079 0.8088
O 0.8429 0.2537 0.8267
O 0.0419 0.2182 0.1866
O 0.9581 0.2182 0.1866
O 0.1366 0.1927 0.2743
O 0.6458 0.2390 0.2496
O 0.2461 0.2608 0.3009
O 0.4436 0.2538 0.2564
O 0.3542 0.2390 0.2496
O 0.5564 0.2538 0.2564
O 0.8634 0.1927 0.2743
O 0.7539 0.2608 0.3009
O 0.1557 0.5636 0.4318
O 0.2985 0.0374 0.5291
O 0.5000 0.0658 0.5150
O 0.7015 0.0374 0.5291
O 0.8443 0.5636 0.4318

=====

(3)
Computed, not measured: a relaxed structure of Na3Ca7Ta3Ti7O30 at the GGA-PBE level of DFT.

Values from the calculation:
The value obtained for the formation energy is -3.400 eV per atom. The symmetry is P1 (1). Its density is 4.85 g/cm³. For the calculated total energy, the calculation gives -813.3 eV for the cell shown.

a = 5.4565 Å, b = 5.5461 Å, c = 38.6673 Å
α = 90.06°, β = 90.02°, γ = 90.08°
Fractional coordinates of all 100 atoms:
Na 0.0089 0.9629 0.3486
Na 0.0172 0.9663 0.7476
Na 0.0076 0.9796 0.9507
Na 0.4843 0.4651 0.1482
Na 0.4905 0.4709 0.5472
Na 0.4905 0.4861 0.9513
Ca 0.0062 0.9511 0.1483
Ca 0.0080 0.9542 0.5475
Ca 0.4850 0.4593 0.3477
Ca 0.5019 0.4642 0.7468
Ca 0.5044 0.5414 0.0522
Ca 0.5038 0.5379 0.2523
Ca 0.5169 0.5421 0.6514
Ca 0.5052 0.5314 0.4519
Ca 0.5121 0.5374 0.8503
Ca 0.9836 0.0471 0.0516
Ca 0.9860 0.0493 0.2521
Ca 0.9875 0.0384 0.4520
Ca 0.9957 0.0475 0.6515
Ca 0.9917 0.0520 0.8504
Ta 0.4925 0.0104 0.0007
Ta 0.4975 0.0003 0.1998
Ta 0.4992 0.9949 0.3993
Ta 0.5028 0.0071 0.5992
Ta 0.4961 0.0063 0.9011
Ta 0.5015 0.0015 0.7981
Ti 0.0028 0.5132 0.0001
Ti 0.9835 0.4999 0.0999
Ti 0.9975 0.4978 0.1991
Ti 0.9871 0.5113 0.2995
Ti 0.9969 0.4991 0.3991
Ti 0.9874 0.4970 0.4996
Ti 0.0094 0.5031 0.5989
Ti 0.0189 0.5011 0.7009
Ti 0.0067 0.5082 0.8001
Ti 0.0000 0.5108 0.9029
Ti 0.4805 0.9983 0.1016
Ti 0.4831 0.0010 0.3010
Ti 0.4842 0.9966 0.5005
Ti 0.5144 0.0023 0.6989
O 0.0786 0.4826 0.0504
O 0.0801 0.4816 0.2499
O 0.0815 0.4811 0.4498
O 0.0816 0.4814 0.6492
O 0.0826 0.4818 0.8487
O 0.2029 0.2047 0.1926
O 0.2098 0.2069 0.1074
O 0.2260 0.2187 0.3070
O 0.2227 0.2173 0.3924
O 0.2141 0.2097 0.5067
O 0.1993 0.2003 0.5923
O 0.2197 0.2195 0.7067
O 0.2154 0.2083 0.7926
O 0.2096 0.2121 0.9058
O 0.2083 0.2142 0.9940
O 0.2866 0.7121 0.1924
O 0.2946 0.7121 0.3071
O 0.2874 0.7191 0.1077
O 0.2964 0.7040 0.3918
O 0.2848 0.7127 0.5918
O 0.2815 0.7229 0.5070
O 0.2902 0.7118 0.7071
O 0.2850 0.7116 0.9066
O 0.3027 0.6997 0.7918
O 0.2814 0.7137 0.9939
O 0.4166 0.9805 0.0508
O 0.4196 0.9805 0.2502
O 0.4180 0.9786 0.6499
O 0.4193 0.9781 0.4498
O 0.4172 0.9768 0.8495
O 0.5809 0.0198 0.3497
O 0.5826 0.0213 0.1501
O 0.5816 0.0196 0.5496
O 0.5801 0.0182 0.7492
O 0.5753 0.0132 0.9505
O 0.7144 0.2805 0.0101
O 0.7181 0.2846 0.0910
O 0.7189 0.2863 0.2921
O 0.7118 0.2868 0.2104
O 0.7110 0.2852 0.6100
O 0.7199 0.2817 0.4092
O 0.7218 0.2771 0.4906
O 0.7182 0.2771 0.8902
O 0.7124 0.2830 0.6918
O 0.7153 0.2847 0.8087
O 0.7769 0.7777 0.0100
O 0.7898 0.7857 0.0925
O 0.7926 0.7907 0.2084
O 0.7904 0.7812 0.4096
O 0.7882 0.7872 0.6081
O 0.7872 0.7812 0.2909
O 0.7834 0.7794 0.4921
O 0.7797 0.7824 0.6906
O 0.7912 0.7838 0.8094
O 0.7793 0.7774 0.8905
O 0.9287 0.5161 0.1508
O 0.9233 0.5140 0.3507
O 0.9307 0.5148 0.5502
O 0.9270 0.5145 0.7501
O 0.9270 0.5156 0.9501

=====

(4)
Computed, not measured: a relaxed structure of Na6Ca3U2O12 at the GGA-PBE level of DFT.

Values from the calculation:
The value obtained for the formation energy is -2.943 eV per atom. The symmetry is C2 (5). Its density is 4.57 g/cm³. For the calculated total energy, the calculation gives -155.3 eV for the cell shown.

a = 10.7770 Å, b = 10.7770 Å, c = 5.9132 Å
α = 79.72°, β = 79.72°, γ = 143.42°
Fractional coordinates of all 23 atoms:
Na 0.1237 0.8763 0.5000
Na 0.8695 0.1305 0.0000
Na 0.9570 0.0430 0.5000
Na 0.2881 0.7119 0.5000
Na 0.0366 0.9634 0.0000
Na 0.7196 0.2804 0.0000
Ca 0.4577 0.5423 0.5000
Ca 0.2094 0.7906 0.0000
Ca 0.5436 0.4564 0.0000
U 0.6273 0.3727 0.5000
U 0.3736 0.6264 0.0000
O 0.9312 0.5459 0.4828
O 0.7589 0.6589 0.5147
O 0.3411 0.2411 0.4853
O 0.4541 0.0688 0.5172
O 0.0998 0.5026 0.9716
O 0.2348 0.3299 0.9907
O 0.6701 0.7652 0.0093
O 0.4974 0.9002 0.0284
O 0.8439 0.5929 0.0617
O 0.4071 0.1561 0.9383
O 0.1830 0.4202 0.4195
O 0.5798 0.8170 0.5805

=====

(5)
Computed, not measured: a relaxed structure of NaCaPb2 at the GGA-PBE level of DFT.

Values from the calculation:
The value obtained for the formation energy is -0.334 eV per atom. The symmetry is Fm-3m (225). Its density is 6.63 g/cm³. For the calculated total energy, the calculation gives -12.1 eV for the cell shown.

a = 5.5306 Å, b = 5.5306 Å, c = 5.5306 Å
α = 60.00°, β = 60.00°, γ = 60.00°
Fractional coordinates of all 4 atoms:
Na 0.5000 0.5000 0.5000
Ca 0.0000 0.0000 0.0000
Pb 0.7500 0.7500 0.7500
Pb 0.2500 0.2500 0.2500

=====

(6)
Computed, not measured: a relaxed structure of Na4SrCaSi2 at the GGA-PBE level of DFT.

Values from the calculation:
The value obtained for the formation energy is -0.035 eV per atom. The symmetry is P-4m2 (115). Its density is 2.19 g/cm³. For the calculated total energy, the calculation gives -20.3 eV for the cell shown.

a = 5.2991 Å, b = 5.2991 Å, c = 7.4317 Å
α = 90.00°, β = 90.00°, γ = 90.00°
Fractional coordinates of all 8 atoms:
Na 0.5000 0.0000 0.2569
Na 0.0000 0.5000 0.7431
Na 0.5000 0.5000 0.0000
Na 0.0000 0.0000 0.5000
Sr 0.0000 0.0000 0.0000
Ca 0.5000 0.5000 0.5000
Si 0.5000 0.0000 0.7423
Si 0.0000 0.5000 0.2577